1.
DFT (PBE-GGA) results for crystalline Mg2V3InS8 at its relaxed geometry.

space group: C2/m

```
Mg2V3InS8
1.0
-2.767 2.401 6.497
0.686 -3.997 6.244
4.446 2.192 5.567
V Mg S In
3 2 8 1
Direct
0.500 0.500 0.000
0.000 0.500 0.500
0.500 0.000 0.500
0.873 0.874 0.874
0.127 0.126 0.127
0.721 0.251 0.250
0.739 0.738 0.739
0.279 0.749 0.750
0.250 0.251 0.720
0.251 0.720 0.250
0.261 0.262 0.261
0.750 0.749 0.280
0.749 0.280 0.749
0.500 0.500 0.500
```

---

2.
DFT (PBE-GGA) results for crystalline NiGeN2 at its relaxed geometry.

space group: Pna2_1

```
NiGeN2
1.0
5.365 0.000 0.000
0.000 6.491 0.000
0.000 0.000 5.121
Ge Ni N
4 4 8
Direct
0.079 0.124 0.999
0.921 0.876 0.499
0.579 0.376 0.999
0.421 0.624 0.499
0.074 0.621 0.994
0.926 0.379 0.494
0.574 0.879 0.994
0.426 0.121 0.494
0.910 0.361 0.883
0.590 0.861 0.383
0.090 0.639 0.383
0.430 0.614 0.866
0.410 0.139 0.883
0.570 0.386 0.366
0.070 0.114 0.366
0.930 0.886 0.866
```

---

3.
DFT (PBE-GGA) results for crystalline ZrSnP2SO12 at its relaxed geometry.

space group: P1

```
ZrSnP2SO12
1.0
8.836 -0.003 0.000
-4.420 7.690 -0.003
0.000 -0.013 23.016
O P Sn Zr S
72 12 6 6 6
Direct
0.850 0.539 0.744
0.365 0.873 0.862
0.161 0.692 0.760
0.466 0.311 0.742
0.178 0.975 0.195
0.507 0.870 0.075
0.496 0.373 0.137
0.537 0.687 0.258
0.832 0.307 0.241
0.866 0.357 0.925
0.981 0.180 0.591
0.692 0.159 0.741
0.820 0.788 0.301
0.143 0.503 0.574
0.170 0.202 0.698
0.138 0.638 0.073
0.133 0.637 0.364
0.543 0.702 0.972
0.171 0.976 0.908
0.806 0.833 0.908
0.487 0.122 0.635
0.151 0.452 0.969
0.817 0.024 0.091
0.966 0.173 0.303
0.030 0.830 0.407
0.504 0.863 0.364
0.117 0.486 0.864
0.500 0.135 0.926
0.458 0.298 0.029
0.630 0.119 0.135
0.298 0.840 0.971
0.873 0.366 0.637
0.363 0.487 0.365
0.298 0.470 0.761
0.695 0.534 0.243
0.796 0.967 0.699
0.689 0.533 0.529
0.825 0.799 0.593
0.799 0.972 0.408
0.207 0.175 0.807
0.500 0.641 0.575
0.698 0.154 0.030
0.487 0.359 0.425
0.364 0.503 0.073
0.825 0.032 0.807
0.178 0.206 0.410
0.315 0.848 0.257
0.633 0.129 0.426
0.162 0.702 0.473
0.646 0.508 0.924
0.970 0.794 0.092
0.869 0.509 0.425
0.035 0.820 0.700
0.025 0.203 0.910
0.840 0.534 0.027
0.846 0.307 0.529
0.157 0.465 0.258
0.528 0.836 0.758
0.360 0.867 0.577
0.541 0.838 0.473
0.970 0.786 0.804
0.203 0.020 0.592
0.877 0.503 0.137
0.207 0.034 0.303
0.634 0.506 0.637
0.203 0.181 0.091
0.299 0.453 0.470
0.021 0.198 0.195
0.476 0.171 0.240
0.790 0.816 0.197
0.455 0.149 0.531
0.508 0.629 0.863
0.284 0.290 0.752
0.617 0.950 0.417
0.385 0.343 0.082
0.962 0.343 0.583
0.051 0.671 0.418
0.334 0.955 0.917
0.296 0.010 0.249
0.625 0.670 0.917
0.662 0.620 0.583
0.955 0.615 0.082
0.711 0.998 0.752
0.994 0.286 0.248
0.659 0.337 0.978
0.336 0.668 0.521
0.669 0.336 0.186
0.345 0.671 0.813
0.333 0.668 0.020
0.001 0.999 0.855
0.999 0.003 0.356
0.665 0.335 0.690
0.992 0.006 0.644
0.679 0.338 0.477
0.326 0.672 0.309
0.013 0.004 0.142
0.664 0.044 0.082
0.006 0.712 0.751
0.041 0.376 0.917
0.377 0.041 0.583
0.712 0.708 0.249
0.334 0.380 0.417
```

---

4.
DFT (PBE-GGA) results for crystalline Na2ZnSi3O8 at its relaxed geometry.

space group: P2_1

```
Na2ZnSi3O8
1.0
8.750 0.000 0.000
0.000 6.481 0.000
0.000 1.589 6.580
Si O Na Zn
6 16 4 2
Direct
0.814 0.250 0.900
0.997 0.594 0.011
0.832 0.856 0.268
0.497 0.406 0.989
0.332 0.144 0.732
0.314 0.750 0.100
0.838 0.217 0.674
0.269 0.976 0.943
0.465 0.653 0.005
0.980 0.751 0.792
0.769 0.024 0.057
0.691 0.792 0.426
0.985 0.941 0.355
0.191 0.208 0.574
0.878 0.638 0.186
0.480 0.249 0.208
0.338 0.783 0.326
0.171 0.579 0.109
0.671 0.421 0.891
0.965 0.347 0.995
0.378 0.362 0.814
0.485 0.059 0.645
0.633 0.408 0.471
0.691 0.831 0.779
0.133 0.592 0.529
0.191 0.169 0.221
0.002 0.037 0.611
0.502 0.963 0.389
```

---

no.,electronic total energy (Ry/atom),M_tot (μB/cell),E_form (eV per atom)
1,-0.415,6.00,-1.21
2,-0.481,8.00,0.04
3,-0.532,0.00,-2.62
4,-0.493,0.00,-2.83